This record from the Materials Project database describes an optimized crystal structure of NaHfZnPS2O12. The functional is PBE-GGA.

```
data_NaHfZnPS2O12
_chemical_formula_sum 'Na12 Hf12 Zn12 P12 S24 O144'
_space_group_name_H-M_alt 'C 1 c 1'
_space_group_IT_number 9
_space_group_name_Hall 'C -2yc'
_cell_length_a 15.153
_cell_length_b 8.787
_cell_length_c 23.072
_cell_angle_alpha 90.00
_cell_angle_beta 90.31
_cell_angle_gamma 90.00
loop_
_atom_site_label
_atom_site_type_symbol
_atom_site_fract_x
_atom_site_fract_y
_atom_site_fract_z
Na1 Na 0.000 0.000 0.000
Na2 Na 0.165 0.493 0.333
Na3 Na 0.326 0.008 0.167
Hf1 Hf 0.161 0.498 0.985
Hf2 Hf 0.325 0.013 0.318
Hf3 Hf 0.495 0.499 0.152
Zn1 Zn 0.168 0.484 0.189
Zn2 Zn 0.317 0.005 0.022
Zn3 Zn 0.494 0.498 0.855
P1 P 0.164 0.208 0.090
P2 P 0.178 0.143 0.423
P3 P 0.349 0.362 0.257
S1 S 0.015 0.359 0.590
S2 S 0.139 0.151 0.756
S3 S 0.306 0.351 0.590
S4 S 0.330 0.290 0.922
S5 S 0.472 0.148 0.424
S6 S 0.495 0.207 0.756
O1 O 0.008 0.186 0.594
O2 O 0.009 0.200 0.308
O3 O 0.056 0.419 0.642
O4 O 0.062 0.428 0.928
O5 O 0.071 0.381 0.536
O6 O 0.071 0.394 0.248
O7 O 0.077 0.108 0.096
O8 O 0.087 0.074 0.413
O9 O 0.089 0.121 0.808
O10 O 0.100 0.076 0.703
O11 O 0.147 0.311 0.034
O12 O 0.150 0.315 0.747
O13 O 0.173 0.322 0.429
O14 O 0.175 0.304 0.143
O15 O 0.222 0.078 0.476
O16 O 0.230 0.076 0.761
O17 O 0.239 0.117 0.368
O18 O 0.244 0.105 0.083
O19 O 0.247 0.387 0.928
O20 O 0.254 0.377 0.641
O21 O 0.257 0.427 0.250
O22 O 0.266 0.423 0.536
O23 O 0.315 0.195 0.869
O24 O 0.320 0.187 0.582
O25 O 0.342 0.181 0.261
O26 O 0.343 0.199 0.975
O27 O 0.393 0.424 0.311
O28 O 0.395 0.428 0.595
O29 O 0.406 0.392 0.916
O30 O 0.407 0.387 0.201
O31 O 0.412 0.114 0.762
O32 O 0.421 0.116 0.475
O33 O 0.427 0.076 0.081
O34 O 0.433 0.075 0.370
O35 O 0.481 0.305 0.703
O36 O 0.484 0.311 0.416
```

Properties
Energy of formation from the pure elements (kcal/mol of atoms): -56.825
Crystal system: monoclinic
Magnetization (μB per atom): 0.000